Compound: CaSiPt
Source: the Materials Project database
Functional: r2SCAN
Structure: optimized geometry

a b c (Å): 6.3516 6.3516 6.3516
angles (deg): 90.00 90.00 90.00
Closest atoms and distances in Å follow each position.
Atoms (fractional coordinates):
Ca 0.1274 0.1274 0.1274  4 Pt 3.18-3.22, 4 Si 3.22-3.23
Ca 0.3726 0.8726 0.6274  4 Pt 3.18-3.22, 4 Si 3.22-3.23
Ca 0.6274 0.3726 0.8726  4 Pt 3.18-3.22, 4 Si 3.22-3.23
Ca 0.8726 0.6274 0.3726  4 Pt 3.18-3.22, 4 Si 3.22-3.23
Si 0.1666 0.3334 0.6666  3 Pt 2.31
Si 0.3334 0.6666 0.1666  3 Pt 2.31
Si 0.6666 0.1666 0.3334  3 Pt 2.31
Si 0.8334 0.8334 0.8334  3 Pt 2.31
Pt 0.0803 0.5803 0.9197  3 Si 2.31
Pt 0.4197 0.4197 0.4197  3 Si 2.31
Pt 0.5803 0.9197 0.0803  3 Si 2.31
Pt 0.9197 0.0803 0.5803  3 Si 2.31

Its density is 6.824 Mg/m³. As for the space-group type: P2_13. Its formation energy is -311.8 kJ/mol of formula units. The magnetization is 0.0 μB per formula unit.

=====

Compound: CoPtF6
Source: the Materials Project database
Functional: r2SCAN
Structure: optimized geometry

a b c (Å): 4.9830 4.9832 5.3794
angles (deg): 62.49 62.47 60.07
Closest atoms and distances in Å follow each position.
Atoms (fractional coordinates):
Co 0.0000 0.0000 0.0000  6 F 1.99
Pt 0.5000 0.5000 0.5000  6 F 1.97
F 0.1032 0.7494 0.7473  1 Pt 1.97, 1 Co 1.99
F 0.2523 0.5998 0.2510  1 Pt 1.97, 1 Co 1.99
F 0.3993 0.1038 0.7481  1 Pt 1.97, 1 Co 1.99
F 0.6007 0.8962 0.2519  1 Pt 1.97, 1 Co 1.99
F 0.7477 0.4002 0.7490  1 Pt 1.97, 1 Co 1.99
F 0.8968 0.2506 0.2527  1 Pt 1.97, 1 Co 1.99

Its density is 6.242 Mg/m³. As for the space-group type: P-1. Its formation energy is -1389.6 kJ/mol of formula units. The magnetization is 3.0 μB per formula unit.

=====

Compound: Tm10S19
Source: the Materials Project database
Functional: r2SCAN
Structure: optimized geometry

a b c (Å): 8.5327 8.5327 15.5423
angles (deg): 90.00 90.00 90.00
Closest atoms and distances in Å follow each position.
Atoms (fractional coordinates):
Tm 0.0411 0.1516 0.1214  9 S 2.77-3.01
Tm 0.0540 0.1453 0.6042  8 S 2.72-2.95
Tm 0.1453 0.4460 0.8958  8 S 2.72-2.95
Tm 0.1516 0.4589 0.3786  9 S 2.77-3.01
Tm 0.2500 0.7500 0.1156  9 S 2.77-2.86
Tm 0.2500 0.7500 0.6156  9 S 2.77-2.86
Tm 0.3484 0.0411 0.3786  9 S 2.77-3.01
Tm 0.3547 0.0540 0.8958  8 S 2.72-2.95
Tm 0.4460 0.3547 0.6042  8 S 2.72-2.95
Tm 0.4589 0.3484 0.1214  9 S 2.77-3.01
Tm 0.5411 0.6516 0.8786  9 S 2.77-3.01
Tm 0.5540 0.6453 0.3958  8 S 2.72-2.95
Tm 0.6453 0.9460 0.1042  8 S 2.72-2.95
Tm 0.6516 0.9589 0.6214  9 S 2.77-3.01
Tm 0.7500 0.2500 0.3844  9 S 2.77-2.86
Tm 0.7500 0.2500 0.8844  9 S 2.77-2.86
Tm 0.8484 0.5411 0.6214  9 S 2.77-3.01
Tm 0.8547 0.5540 0.1042  8 S 2.72-2.95
Tm 0.9460 0.8547 0.3958  8 S 2.72-2.95
Tm 0.9589 0.8484 0.8786  9 S 2.77-3.01
S 0.0287 0.6928 0.2498  1 S 2.15
S 0.0481 0.1514 0.4285  5 Tm 2.72-2.88
S 0.0540 0.1494 0.9385  5 Tm 2.73-2.86
S 0.0707 0.6162 0.7497  1 S 2.15
S 0.1162 0.9293 0.2497  1 S 2.15
S 0.1494 0.4460 0.5615  5 Tm 2.73-2.86
S 0.1514 0.4519 0.0715  5 Tm 2.72-2.88
S 0.1928 0.9713 0.7498  1 S 2.15
S 0.2500 0.2500 0.2500  4 Tm 2.81, 4 S 2.97
S 0.2500 0.7500 0.4356  5 Tm 2.77-2.81
S 0.2500 0.7500 0.9356  5 Tm 2.77-2.81
S 0.3072 0.5287 0.7498  1 S 2.15
S 0.3486 0.0481 0.0715  5 Tm 2.72-2.88
S 0.3506 0.0540 0.5615  5 Tm 2.73-2.86
S 0.3838 0.5707 0.2497  1 S 2.15
S 0.4293 0.8838 0.7497  1 S 2.15
S 0.4460 0.3506 0.9385  5 Tm 2.73-2.86
S 0.4519 0.3486 0.4285  5 Tm 2.72-2.88
S 0.4713 0.8072 0.2498  1 S 2.15
S 0.5287 0.1928 0.7502  1 S 2.15
S 0.5481 0.6514 0.5715  5 Tm 2.72-2.88
S 0.5540 0.6494 0.0615  5 Tm 2.73-2.86
S 0.5707 0.1162 0.2503  1 S 2.15
S 0.6162 0.4293 0.7503  1 S 2.15
S 0.6494 0.9460 0.4385  5 Tm 2.73-2.86
S 0.6514 0.9519 0.9285  5 Tm 2.72-2.88
S 0.6928 0.4713 0.2502  1 S 2.15
S 0.7500 0.2500 0.0644  5 Tm 2.77-2.81
S 0.7500 0.2500 0.5644  5 Tm 2.77-2.81
S 0.7500 0.7500 0.7500  4 Tm 2.81, 4 S 2.97
S 0.8072 0.0287 0.2502  1 S 2.15
S 0.8486 0.5481 0.9285  5 Tm 2.72-2.88
S 0.8506 0.5540 0.4385  5 Tm 2.73-2.86
S 0.8838 0.0707 0.7503  1 S 2.15
S 0.9293 0.3838 0.2503  1 S 2.15
S 0.9460 0.8506 0.0615  5 Tm 2.73-2.86
S 0.9519 0.8486 0.5715  5 Tm 2.72-2.88
S 0.9713 0.3072 0.7502  1 S 2.15

Its density is 6.746 Mg/m³. As for the space-group type: P4_2/n. Its formation energy is -5645.9 kJ/mol of formula units. The magnetization is 0.0 μB per formula unit.

=====

Compound: HfB4H16
Source: the Materials Project database
Functional: r2SCAN
Structure: optimized geometry

a b c (Å): 5.9827 5.9827 5.9827
angles (deg): 90.00 90.00 90.00
Closest atoms and distances in Å follow each position.
Atoms (fractional coordinates):
Hf 0.0000 0.0000 0.0000  12 H 2.11, 4 B 2.28
B 0.2200 0.2200 0.2200  4 H 1.19-1.24
B 0.2200 0.7800 0.7800  4 H 1.19-1.24
B 0.7800 0.2200 0.7800  4 H 1.19-1.24
B 0.7800 0.7800 0.2200  4 H 1.19-1.24
H 0.0163 0.2494 0.2494  1 B 1.24
H 0.0163 0.7506 0.7506  1 B 1.24
H 0.2494 0.0163 0.2494  1 B 1.24
H 0.2494 0.2494 0.0163  1 B 1.24
H 0.2494 0.7506 0.9837  1 B 1.24
H 0.2494 0.9837 0.7506  1 B 1.24
H 0.3344 0.3344 0.3344  1 B 1.19
H 0.3344 0.6656 0.6656  1 B 1.19
H 0.6656 0.3344 0.6656  1 B 1.19
H 0.6656 0.6656 0.3344  1 B 1.19
H 0.7506 0.0163 0.7506  1 B 1.24
H 0.7506 0.2494 0.9837  1 B 1.24
H 0.7506 0.7506 0.0163  1 B 1.24
H 0.7506 0.9837 0.2494  1 B 1.24
H 0.9837 0.2494 0.7506  1 B 1.24
H 0.9837 0.7506 0.2494  1 B 1.24

Its density is 1.844 Mg/m³. As for the space-group type: P-43m. Its formation energy is -418.2 kJ/mol of formula units. The magnetization is 0.0 μB per formula unit.

=====

Compound: HfBr3
Source: the Materials Project database
Functional: r2SCAN
Structure: optimized geometry

a b c (Å): 9.9870 9.9870 3.3881
angles (deg): 90.00 90.00 120.00
Closest atoms and distances in Å follow each position.
Atoms (fractional coordinates):
Hf 0.3333 0.6667 0.2500  6 Br 2.66
Hf 0.6667 0.3333 0.7500  6 Br 2.66
Br 0.2146 0.4293 0.7500  2 Hf 2.66
Br 0.2146 0.7854 0.7500  2 Hf 2.66
Br 0.4293 0.2146 0.2500  2 Hf 2.66
Br 0.5707 0.7854 0.7500  2 Hf 2.66
Br 0.7854 0.2146 0.2500  2 Hf 2.66
Br 0.7854 0.5707 0.2500  2 Hf 2.66

Its density is 4.746 Mg/m³. As for the space-group type: P6_3/mmc. Its formation energy is -533.0 kJ/mol of formula units. The magnetization is 0.3 μB per formula unit.

=====

Compound: Ba6Dy2Al4O15
Source: the Materials Project database
Functional: r2SCAN
Structure: optimized geometry

a b c (Å): 7.8577 5.9167 18.4271
angles (deg): 90.00 91.72 90.00
Closest atoms and distances in Å follow each position.
Atoms (fractional coordinates):
Ba 0.0000 0.1791 0.2500  8 O 2.80-2.96
Ba 0.0000 0.8209 0.7500  8 O 2.80-2.96
Ba 0.0013 0.2555 0.9179  2 O 2.53-2.81
Ba 0.0013 0.7445 0.4179  2 O 2.53-2.81
Ba 0.4707 0.2484 0.9101  9 O 2.76-3.04
Ba 0.4707 0.7516 0.4101  9 O 2.76-3.04
Ba 0.5000 0.2264 0.2500  7 O 2.72-2.90
Ba 0.5000 0.7736 0.7500  7 O 2.72-2.90
Ba 0.5293 0.2484 0.5899  9 O 2.76-3.04
Ba 0.5293 0.7516 0.0899  9 O 2.76-3.04
Ba 0.9987 0.2555 0.5821  2 O 2.53-2.81
Ba 0.9987 0.7445 0.0821  2 O 2.53-2.81
Dy 0.2529 0.2486 0.0892  6 O 2.22-2.40
Dy 0.2529 0.7514 0.5892  6 O 2.22-2.40
Dy 0.7471 0.2486 0.4108  6 O 2.22-2.40
Dy 0.7471 0.7514 0.9108  6 O 2.22-2.40
Al 0.2524 0.2478 0.4442  4 O 1.78-1.79
Al 0.2524 0.7522 0.9442  4 O 1.78-1.79
Al 0.2793 0.2671 0.7316  4 O 1.73-1.78
Al 0.2793 0.7329 0.2316  4 O 1.73-1.78
Al 0.7207 0.2671 0.7684  4 O 1.73-1.78
Al 0.7207 0.7329 0.2684  4 O 1.73-1.78
Al 0.7476 0.2478 0.0558  4 O 1.78-1.79
Al 0.7476 0.7522 0.5558  4 O 1.78-1.79
O 0.0395 0.2521 0.4084  1 Al 1.78
O 0.0395 0.7479 0.9084  1 Al 1.78
O 0.1908 0.1808 0.8118  1 Al 1.73
O 0.1908 0.8192 0.3118  1 Al 1.73
O 0.2291 0.4774 0.1871  1 Al 1.76
O 0.2291 0.5226 0.6871  1 Al 1.76
O 0.2563 0.0452 0.6669  1 Al 1.78
O 0.2563 0.9548 0.1669  1 Al 1.78
O 0.2632 0.4841 0.5047  1 Al 1.79
O 0.2632 0.5159 0.0047  1 Al 1.79
O 0.2644 0.0002 0.4988  1 Al 1.78
O 0.2644 0.9998 0.9988  1 Al 1.78
O 0.4430 0.2612 0.3943  1 Al 1.78
O 0.4430 0.7388 0.8943  1 Al 1.78
O 0.5000 0.2914 0.7500  2 Al 1.76
O 0.5000 0.7086 0.2500  2 Al 1.76
O 0.5570 0.2612 0.1057  1 Al 1.78
O 0.5570 0.7388 0.6057  1 Al 1.78
O 0.7356 0.0002 0.0012  1 Al 1.78
O 0.7356 0.9998 0.5012  1 Al 1.78
O 0.7368 0.4841 0.9953  1 Al 1.79
O 0.7368 0.5159 0.4953  1 Al 1.79
O 0.7437 0.0452 0.8331  1 Al 1.78
O 0.7437 0.9548 0.3331  1 Al 1.78
O 0.7709 0.4774 0.3129  1 Al 1.76
O 0.7709 0.5226 0.8129  1 Al 1.76
O 0.8092 0.1808 0.6882  1 Al 1.73
O 0.8092 0.8192 0.1882  1 Al 1.73
O 0.9605 0.2521 0.0916  1 Al 1.78
O 0.9605 0.7479 0.5916  1 Al 1.78

Its density is 5.805 Mg/m³. As for the space-group type: P2/c. Its formation energy is -8645.1 kJ/mol of formula units. The magnetization is 0.0 μB per formula unit.

=====

Compound: CsSbCl6
Source: the Materials Project database
Functional: r2SCAN
Structure: optimized geometry

a b c (Å): 6.9986 6.9986 12.4961
angles (deg): 101.10 101.10 55.80
Closest atoms and distances in Å follow each position.
Atoms (fractional coordinates):
Cs 0.1210 0.8790 0.5000  12 Cl 3.66-3.78
Cs 0.8790 0.1210 0.0000  12 Cl 3.66-3.78
Sb 0.5004 0.9988 0.2500  6 Cl 2.39-2.40
Sb 0.9988 0.5004 0.7500  6 Cl 2.39-2.40
Cl 0.1084 0.2031 0.2917  1 Sb 2.39
Cl 0.2031 0.1084 0.7917  1 Sb 2.39
Cl 0.2036 0.3682 0.5912  1 Sb 2.40
Cl 0.2956 0.5470 0.8578  1 Sb 2.40
Cl 0.3682 0.2036 0.0912  1 Sb 2.40
Cl 0.4536 0.7020 0.1423  1 Sb 2.40
Cl 0.5470 0.2956 0.3578  1 Sb 2.40
Cl 0.6326 0.7939 0.4085  1 Sb 2.39
Cl 0.7020 0.4536 0.6423  1 Sb 2.40
Cl 0.7939 0.6326 0.9085  1 Sb 2.39
Cl 0.7949 0.8923 0.7082  1 Sb 2.39
Cl 0.8923 0.7949 0.2082  1 Sb 2.39

Its density is 3.142 Mg/m³. As for the space-group type: Cc. Its formation energy is -944.3 kJ/mol of formula units. The magnetization is 0.0 μB per formula unit.

=====

Compound: ThAl
Source: the Materials Project database
Functional: r2SCAN
Structure: optimized geometry

a b c (Å): 6.1591 6.1591 4.2094
angles (deg): 90.00 90.00 137.50
Closest atoms and distances in Å follow each position.
Atoms (fractional coordinates):
Th 0.1443 0.8557 0.7500  7 Al 3.19-3.32
Th 0.8557 0.1443 0.2500  7 Al 3.19-3.32
Al 0.4303 0.5697 0.7500  2 Al 2.64
Al 0.5697 0.4303 0.2500  2 Al 2.64

Its density is 7.974 Mg/m³. As for the space-group type: Cmcm. Its formation energy is -71.5 kJ/mol of formula units. The magnetization is 0.4 μB per formula unit.

=====

magnetization of number 5 (HfBr3)?
0.3 μB per formula unit